# CsLiMg6O7 PBE relaxed
data_CsLiMg6O7
_cell_length_a 4.152
_cell_length_b 4.152
_cell_length_c 12.131
_cell_angle_alpha 90.00
_cell_angle_beta 90.00
_cell_angle_gamma 90.00
_symmetry_space_group_name_H-M 'P 1'
_symmetry_Int_Tables_number 1
loop_
_symmetry_equiv_pos_as_xyz
'x,y,z'
loop_
_atom_site_label
_atom_site_type_symbol
_atom_site_fract_x
_atom_site_fract_y
_atom_site_fract_z
O1 O 0.000 0.000 0.671
O2 O 0.000 0.500 0.113
O3 O 0.500 0.000 0.487
O4 O 0.500 0.500 0.672
O5 O 0.500 0.500 0.310
O6 O 0.000 0.500 0.487
O7 O 0.500 0.000 0.113
Mg1 Mg 0.000 0.000 0.494
Mg2 Mg 0.500 0.500 0.476
Mg3 Mg 0.000 0.500 0.663
Mg4 Mg 0.000 0.500 0.271
Mg5 Mg 0.500 0.000 0.663
Mg6 Mg 0.500 0.000 0.271
Li1 Li 0.000 0.000 0.100
Cs1 Cs 0.500 0.500 0.957
# Excess energy over the best structure of this formula in the dataset in meV/atom: 0
# Crystal system: tetragonal
# Space group: P4mm, No. 99

# Cs4LiPb4O6 PBE relaxed
data_Cs4LiPb4O6
_cell_length_a 8.303
_cell_length_b 8.050
_cell_length_c 8.303
_cell_angle_alpha 114.21
_cell_angle_beta 111.95
_cell_angle_gamma 103.65
_symmetry_space_group_name_H-M 'P 1'
_symmetry_Int_Tables_number 1
loop_
_symmetry_equiv_pos_as_xyz
'x,y,z'
loop_
_atom_site_label
_atom_site_type_symbol
_atom_site_fract_x
_atom_site_fract_y
_atom_site_fract_z
O1 O 0.503 0.750 0.753
O2 O 0.262 0.757 0.016
O3 O 0.002 0.250 0.752
O4 O 0.751 0.942 0.217
O5 O 0.775 0.558 0.809
O6 O 0.758 0.743 0.504
Cs1 Cs 0.041 0.029 0.994
Cs2 Cs 0.542 0.013 0.534
Cs3 Cs 0.022 0.487 0.529
Cs4 Cs 0.465 0.471 0.012
Pb1 Pb 0.030 0.534 0.002
Pb2 Pb 0.968 0.966 0.497
Pb3 Pb 0.551 0.525 0.520
Pb4 Pb 0.496 0.975 0.026
Li1 Li 0.709 0.750 0.959
# Excess energy over the best structure of this formula in the dataset in meV/atom: 0
# Crystal system: monoclinic
# Space group: C2, No. 5

# Cs4LiPb4O6 PBE relaxed
data_Cs4LiPb4O6
_cell_length_a 8.143
_cell_length_b 8.103
_cell_length_c 8.143
_cell_angle_alpha 111.05
_cell_angle_beta 115.24
_cell_angle_gamma 102.55
_symmetry_space_group_name_H-M 'P 1'
_symmetry_Int_Tables_number 1
loop_
_symmetry_equiv_pos_as_xyz
'x,y,z'
loop_
_atom_site_label
_atom_site_type_symbol
_atom_site_fract_x
_atom_site_fract_y
_atom_site_fract_z
O1 O 0.251 0.751 0.997
O2 O 0.747 0.514 0.766
O3 O 0.746 0.749 0.501
O4 O 0.752 0.986 0.233
O5 O 0.436 0.750 0.686
O6 O 0.014 0.250 0.764
Cs1 Cs 0.956 0.447 0.503
Cs2 Cs 0.978 0.984 0.996
Cs3 Cs 0.512 0.516 0.993
Cs4 Cs 0.556 0.053 0.509
Pb1 Pb 0.526 0.540 0.507
Pb2 Pb 0.036 0.526 0.997
Pb3 Pb 0.971 0.974 0.509
Pb4 Pb 0.467 0.960 0.986
Li1 Li 0.228 0.750 0.478
# Excess energy over the best structure of this formula in the dataset in meV/atom: 70
# Crystal system: monoclinic
# Space group: C2, No. 5

# CsLiSO4 PBE relaxed
data_CsLiSO4
_cell_length_a 5.611
_cell_length_b 10.206
_cell_length_c 10.990
_cell_angle_alpha 90.00
_cell_angle_beta 90.00
_cell_angle_gamma 90.00
_symmetry_space_group_name_H-M 'P 1'
_symmetry_Int_Tables_number 1
loop_
_symmetry_equiv_pos_as_xyz
'x,y,z'
loop_
_atom_site_label
_atom_site_type_symbol
_atom_site_fract_x
_atom_site_fract_y
_atom_site_fract_z
S1 S 0.250 0.190 0.936
S2 S 0.750 0.310 0.436
S3 S 0.250 0.690 0.564
S4 S 0.750 0.810 0.064
O1 O 0.250 0.752 0.686
O2 O 0.750 0.748 0.186
O3 O 0.750 0.455 0.420
O4 O 0.250 0.545 0.580
O5 O 0.750 0.248 0.314
O6 O 0.967 0.768 0.995
O7 O 0.033 0.232 0.005
O8 O 0.533 0.768 0.995
O9 O 0.250 0.045 0.920
O10 O 0.750 0.955 0.080
O11 O 0.967 0.268 0.505
O12 O 0.033 0.732 0.495
O13 O 0.250 0.252 0.814
O14 O 0.467 0.732 0.495
O15 O 0.467 0.232 0.005
O16 O 0.533 0.268 0.505
Li1 Li 0.250 0.368 0.539
Li2 Li 0.750 0.132 0.039
Li3 Li 0.250 0.868 0.961
Li4 Li 0.750 0.632 0.461
Cs1 Cs 0.750 0.461 0.137
Cs2 Cs 0.250 0.039 0.637
Cs3 Cs 0.750 0.961 0.363
Cs4 Cs 0.250 0.539 0.863
# Excess energy over the best structure of this formula in the dataset in meV/atom: 90
# Crystal system: orthorhombic
# Space group: Pnma, No. 62